[1]
The following is a DFT calculation (PBE-GGA) of a relaxed TiCuO4F6 crystal.

## Properties
Calculated total energy = -4.58 eV/atom
Energy with MP2020 corrections = -5.0378 eV per atom
Space group = P2_1/c, No. 14
Magnetic moment = 0.583 μB/atom
Energy of formation from the pure elements = -17.18 eV per formula unit

abc: 5.2716 8.6730 7.0438
angles: 90.00 96.84 90.00
With the nearest neighbours (Å) after each atom.
Fractional coordinates of all 24 atoms:
Ti1 0.0000 0.0000 0.0000  6 F 1.87-1.93
Ti2 0.0000 0.5000 0.5000  6 F 1.87-1.93
Cu1 0.5000 0.0000 0.5000  4 O 1.79-1.81
Cu2 0.5000 0.5000 0.0000  4 O 1.79-1.81
O1 0.2528 0.1212 0.5763  1 Cu 1.81
O2 0.2528 0.3788 0.0763  1 Cu 1.81
O3 0.3768 0.6652 0.1119  1 Cu 1.79
O4 0.3768 0.8348 0.6119  1 Cu 1.79
O5 0.6232 0.1652 0.3881  1 Cu 1.79
O6 0.6232 0.3348 0.8881  1 Cu 1.79
O7 0.7472 0.6212 0.9237  1 Cu 1.81
O8 0.7472 0.8788 0.4237  1 Cu 1.81
F1 0.1639 0.6494 0.3640  1 Ti 1.88
F2 0.1639 0.8506 0.8640  1 Ti 1.88
F3 0.2169 0.5421 0.7232  1 Ti 1.87
F4 0.2169 0.9579 0.2232  1 Ti 1.87
F5 0.2400 0.1509 0.9295  1 Ti 1.93
F6 0.2400 0.3491 0.4295  1 Ti 1.93
F7 0.7600 0.6509 0.5705  1 Ti 1.93
F8 0.7600 0.8491 0.0705  1 Ti 1.93
F9 0.7831 0.0421 0.7768  1 Ti 1.87
F10 0.7831 0.4579 0.2768  1 Ti 1.87
F11 0.8361 0.1494 0.1360  1 Ti 1.88
F12 0.8361 0.3506 0.6360  1 Ti 1.88

***

[2]
The following is a DFT calculation (PBE-GGA) of a relaxed Rb3Sb2I9 crystal.

## Properties
Calculated total energy = -2.65 eV/atom
Energy with MP2020 corrections = -2.8931 eV per atom
Space group = P2_1/c, No. 14
Magnetic moment = 0.000 μB/atom
Energy of formation from the pure elements = -15.59 eV per formula unit

abc: 15.0396 8.4474 25.8704
angles: 90.00 125.51 90.00
With the nearest neighbours (Å) after each atom.
Fractional coordinates of all 56 atoms:
Rb1 0.2422 0.0252 0.3942  8 I 3.83-4.11
Rb2 0.2422 0.4748 0.8942  8 I 3.83-4.11
Rb3 0.2495 0.0104 0.0681  7 I 3.76-4.18
Rb4 0.2495 0.4896 0.5681  7 I 3.76-4.18
Rb5 0.2567 0.0175 0.7275  8 I 3.82-4.22
Rb6 0.2567 0.4825 0.2275  8 I 3.82-4.22
Rb7 0.7433 0.5175 0.7725  8 I 3.82-4.22
Rb8 0.7433 0.9825 0.2725  8 I 3.82-4.22
Rb9 0.7505 0.5104 0.4319  7 I 3.76-4.18
Rb10 0.7505 0.9896 0.9319  7 I 3.76-4.18
Rb11 0.7578 0.5252 0.1058  8 I 3.83-4.11
Rb12 0.7578 0.9748 0.6058  8 I 3.83-4.11
Sb1 0.0074 0.5087 0.3411  6 I 2.92-3.23
Sb2 0.0074 0.9913 0.8411  6 I 2.92-3.23
Sb3 0.4960 0.5075 0.1582  6 I 2.91-3.25
Sb4 0.4960 0.9925 0.6582  6 I 2.91-3.25
Sb5 0.5040 0.0075 0.3418  6 I 2.91-3.25
Sb6 0.5040 0.4925 0.8418  6 I 2.91-3.25
Sb7 0.9926 0.0087 0.1589  6 I 2.92-3.23
Sb8 0.9926 0.4913 0.6589  6 I 2.92-3.23
I1 0.0265 0.2057 0.0786  1 Sb 2.93
I2 0.0265 0.2943 0.5786  1 Sb 2.93
I3 0.0325 0.2224 0.4124  1 Sb 2.93
I4 0.0325 0.2776 0.9124  1 Sb 2.93
I5 0.0386 0.1831 0.7444  2 Sb 3.22-3.23
I6 0.0386 0.3169 0.2444  2 Sb 3.22-3.23
I7 0.2426 0.5666 0.4202  1 Sb 2.92
I8 0.2426 0.9334 0.9202  1 Sb 2.92
I9 0.2489 0.5686 0.7518  2 Sb 3.19-3.21
I10 0.2489 0.9314 0.2518  2 Sb 3.19-3.21
I11 0.2586 0.5573 0.0818  1 Sb 2.94
I12 0.2586 0.9427 0.5818  1 Sb 2.94
I13 0.4659 0.2069 0.8903  1 Sb 2.93
I14 0.4659 0.2931 0.3903  1 Sb 2.93
I15 0.4673 0.2021 0.2226  2 Sb 3.23-3.25
I16 0.4673 0.2979 0.7226  2 Sb 3.23-3.25
I17 0.4770 0.1931 0.5606  1 Sb 2.91
I18 0.4770 0.3069 0.0606  1 Sb 2.91
I19 0.5230 0.6931 0.9394  1 Sb 2.91
I20 0.5230 0.8069 0.4394  1 Sb 2.91
I21 0.5327 0.7021 0.2774  2 Sb 3.23-3.25
I22 0.5327 0.7979 0.7774  2 Sb 3.23-3.25
I23 0.5341 0.7069 0.6097  1 Sb 2.93
I24 0.5341 0.7931 0.1097  1 Sb 2.93
I25 0.7414 0.0573 0.4182  1 Sb 2.94
I26 0.7414 0.4427 0.9182  1 Sb 2.94
I27 0.7511 0.0686 0.7482  2 Sb 3.19-3.21
I28 0.7511 0.4314 0.2482  2 Sb 3.19-3.21
I29 0.7574 0.0666 0.0798  1 Sb 2.92
I30 0.7574 0.4334 0.5798  1 Sb 2.92
I31 0.9614 0.6831 0.7556  2 Sb 3.22-3.23
I32 0.9614 0.8169 0.2556  2 Sb 3.22-3.23
I33 0.9675 0.7224 0.0876  1 Sb 2.93
I34 0.9675 0.7776 0.5876  1 Sb 2.93
I35 0.9735 0.7057 0.4214  1 Sb 2.93
I36 0.9735 0.7943 0.9214  1 Sb 2.93

***

[3]
The following is a DFT calculation (PBE-GGA) of a relaxed Ba3As2H14S8O7 crystal.

## Properties
Calculated total energy = -4.88 eV/atom
Energy with MP2020 corrections = -5.1432 eV per atom
Space group = P2_1/c, No. 14
Magnetic moment = 0.000 μB/atom
Energy of formation from the pure elements = -44.57 eV per formula unit

abc: 12.7546 12.9063 16.8116
angles: 90.00 130.51 90.00
With the nearest neighbours (Å) after each atom.
Fractional coordinates of all 136 atoms:
Ba1 0.0432 0.2363 0.3767  4 O 2.88-3.11, 1 H 3.18
Ba2 0.0432 0.2637 0.8767  4 O 2.88-3.11, 1 H 3.18
Ba3 0.3058 0.5230 0.5968  4 O 2.80-3.03
Ba4 0.3058 0.9770 0.0968  4 O 2.80-3.03
Ba5 0.3262 0.6196 0.0673  4 O 2.79-2.93
Ba6 0.3262 0.8804 0.5673  4 O 2.79-2.93
Ba7 0.6738 0.1196 0.4327  4 O 2.79-2.93
Ba8 0.6738 0.3804 0.9327  4 O 2.79-2.93
Ba9 0.6942 0.0230 0.9032  4 O 2.80-3.03
Ba10 0.6942 0.4770 0.4032  4 O 2.80-3.03
Ba11 0.9568 0.7363 0.1233  4 O 2.88-3.11, 1 H 3.18
Ba12 0.9568 0.7637 0.6233  4 O 2.88-3.11, 1 H 3.18
As1 0.0376 0.2415 0.1256  4 S 2.19-2.21
As2 0.0376 0.2585 0.6256  4 S 2.19-2.21
As3 0.4643 0.7469 0.3630  4 S 2.19-2.20
As4 0.4643 0.7531 0.8630  4 S 2.19-2.20
As5 0.5357 0.2469 0.1370  4 S 2.19-2.20
As6 0.5357 0.2531 0.6370  4 S 2.19-2.20
As7 0.9624 0.7415 0.3744  4 S 2.19-2.21
As8 0.9624 0.7585 0.8744  4 S 2.19-2.21
H1 0.0857 0.5076 0.6807  1 O 0.99
H2 0.0857 0.9924 0.1807  1 O 0.99
H3 0.0906 0.0043 0.6722  1 O 1.00
H4 0.0906 0.4957 0.1722  1 O 1.00
H5 0.1400 0.0276 0.8399  1 O 0.99
H6 0.1400 0.4724 0.3399  1 O 0.99
H7 0.1598 0.0133 0.3534  1 O 1.00
H8 0.1598 0.4867 0.8534  1 O 1.00
H9 0.1920 0.5931 0.7551  1 O 0.99
H10 0.1920 0.9069 0.2551  1 O 0.99
H11 0.2060 0.5670 0.2696  1 O 0.99
H12 0.2060 0.9330 0.7696  1 O 0.99
H13 0.2662 0.0994 0.9131  1 O 0.98
H14 0.2662 0.4006 0.4131  1 O 0.98
H15 0.2882 0.0810 0.4400  1 O 0.99
H16 0.2882 0.4190 0.9400  1 O 0.99
H17 0.3269 0.1037 0.2825  1 O 1.00
H18 0.3269 0.3963 0.7825  1 O 1.00
H19 0.3544 0.0983 0.6875  1 O 1.00
H20 0.3544 0.4017 0.1875  1 O 1.00
H21 0.3635 0.0080 0.7575  1 O 0.98
H22 0.3635 0.4920 0.2575  1 O 0.98
H23 0.4010 0.5052 0.8356  1 O 1.00
H24 0.4010 0.9948 0.3356  1 O 1.00
H25 0.4375 0.2017 0.8410  1 O 0.99
H26 0.4375 0.2983 0.3410  1 O 0.99
H27 0.4529 0.6736 0.5412  1 O 0.99
H28 0.4529 0.8264 0.0412  1 O 0.99
H29 0.5471 0.1736 0.9588  1 O 0.99
H30 0.5471 0.3264 0.4588  1 O 0.99
H31 0.5625 0.7017 0.6590  1 O 0.99
H32 0.5625 0.7983 0.1590  1 O 0.99
H33 0.5990 0.0052 0.6644  1 O 1.00
H34 0.5990 0.4948 0.1644  1 O 1.00
H35 0.6365 0.5080 0.7425  1 O 0.98
H36 0.6365 0.9920 0.2425  1 O 0.98
H37 0.6456 0.5983 0.8125  1 O 1.00
H38 0.6456 0.9017 0.3125  1 O 1.00
H39 0.6731 0.6037 0.2175  1 O 1.00
H40 0.6731 0.8963 0.7175  1 O 1.00
H41 0.7118 0.5810 0.0600  1 O 0.99
H42 0.7118 0.9190 0.5600  1 O 0.99
H43 0.7338 0.5994 0.5869  1 O 0.98
H44 0.7338 0.9006 0.0869  1 O 0.98
H45 0.7940 0.0670 0.2304  1 O 0.99
H46 0.7940 0.4330 0.7304  1 O 0.99
H47 0.8080 0.0931 0.7449  1 O 0.99
H48 0.8080 0.4069 0.2449  1 O 0.99
H49 0.8402 0.5133 0.1466  1 O 1.00
H50 0.8402 0.9867 0.6466  1 O 1.00
H51 0.8600 0.5276 0.6601  1 O 0.99
H52 0.8600 0.9724 0.1601  1 O 0.99
H53 0.9094 0.5043 0.8278  1 O 1.00
H54 0.9094 0.9957 0.3278  1 O 1.00
H55 0.9143 0.0076 0.8193  1 O 0.99
H56 0.9143 0.4924 0.3193  1 O 0.99
S1 0.0116 0.1169 0.5427  1 As 2.19, 1 H 2.24
S2 0.0116 0.3831 0.0427  1 As 2.19, 1 H 2.24
S3 0.0324 0.1074 0.0414  1 As 2.21, 1 H 2.46
S4 0.0324 0.3926 0.5414  1 As 2.21, 1 H 2.46
S5 0.1383 0.7186 0.3816  1 As 2.19
S6 0.1383 0.7814 0.8816  1 As 2.19
S7 0.2275 0.2409 0.2895  1 As 2.19, 2 H 2.23-2.34
S8 0.2275 0.2591 0.7895  1 As 2.19, 2 H 2.23-2.34
S9 0.2760 0.7291 0.6991  1 As 2.20
S10 0.2760 0.7709 0.1991  1 As 2.20
S11 0.3541 0.2401 0.1246  1 As 2.19, 1 H 2.34
S12 0.3541 0.2599 0.6246  1 As 2.19, 1 H 2.34
S13 0.4474 0.5964 0.4149  1 As 2.20, 2 H 2.30-2.41
S14 0.4474 0.9036 0.9149  1 As 2.20, 2 H 2.30-2.41
S15 0.4775 0.6241 0.9542  2 H 2.18-2.35, 1 As 2.19
S16 0.4775 0.8759 0.4542  2 H 2.18-2.35, 1 As 2.19
S17 0.5225 0.1241 0.5458  2 H 2.18-2.35, 1 As 2.19
S18 0.5225 0.3759 0.0458  2 H 2.18-2.35, 1 As 2.19
S19 0.5526 0.0964 0.0851  1 As 2.20, 2 H 2.30-2.41
S20 0.5526 0.4036 0.5851  1 As 2.20, 2 H 2.30-2.41
S21 0.6459 0.7401 0.3754  1 As 2.19, 1 H 2.34
S22 0.6459 0.7599 0.8754  1 As 2.19, 1 H 2.34
S23 0.7240 0.2291 0.8009  1 As 2.20
S24 0.7240 0.2709 0.3009  1 As 2.20
S25 0.7725 0.7409 0.2105  1 As 2.19, 2 H 2.23-2.34
S26 0.7725 0.7591 0.7105  1 As 2.19, 2 H 2.23-2.34
S27 0.8617 0.2186 0.1184  1 As 2.19
S28 0.8617 0.2814 0.6184  1 As 2.19
S29 0.9676 0.6074 0.4586  1 As 2.21, 1 H 2.46
S30 0.9676 0.8926 0.9586  1 As 2.21, 1 H 2.46
S31 0.9884 0.6169 0.9573  1 As 2.19, 1 H 2.24
S32 0.9884 0.8831 0.4573  1 As 2.19, 1 H 2.24
O1 0.1078 0.5469 0.2240  2 H 0.99-1.00
O2 0.1078 0.9531 0.7240  2 H 0.99-1.00
O3 0.1090 0.5574 0.7346  2 H 0.99
O4 0.1090 0.9426 0.2346  2 H 0.99
O5 0.1887 0.0694 0.9046  2 H 0.98-0.99
O6 0.1887 0.4306 0.4046  2 H 0.98-0.99
O7 0.2055 0.0470 0.4222  2 H 0.99-1.00
O8 0.2055 0.4530 0.9222  2 H 0.99-1.00
O9 0.3867 0.0497 0.2873  2 H 1.00
O10 0.3867 0.4503 0.7873  2 H 1.00
O11 0.3883 0.0269 0.7150  2 H 0.98-1.00
O12 0.3883 0.4731 0.2150  2 H 0.98-1.00
O13 0.4618 0.6900 0.6031  2 H 0.99
O14 0.4618 0.8100 0.1031  2 H 0.99
O15 0.5382 0.1900 0.8969  2 H 0.99
O16 0.5382 0.3100 0.3969  2 H 0.99
O17 0.6117 0.5269 0.7850  2 H 0.98-1.00
O18 0.6117 0.9731 0.2850  2 H 0.98-1.00
O19 0.6133 0.5497 0.2127  2 H 1.00
O20 0.6133 0.9503 0.7127  2 H 1.00
O21 0.7945 0.5470 0.0778  2 H 0.99-1.00
O22 0.7945 0.9530 0.5778  2 H 0.99-1.00
O23 0.8113 0.5694 0.5954  2 H 0.98-0.99
O24 0.8113 0.9306 0.0954  2 H 0.98-0.99
O25 0.8910 0.0574 0.7654  2 H 0.99
O26 0.8910 0.4426 0.2654  2 H 0.99
O27 0.8922 0.0469 0.2760  2 H 0.99-1.00
O28 0.8922 0.4531 0.7760  2 H 0.99-1.00

***

[4]
The following is a DFT calculation (PBE-GGA) of a relaxed Mg2Mn3MoS8 crystal.

## Properties
Calculated total energy = -6.05 eV/atom
Energy with MP2020 corrections = -6.3372 eV per atom
Space group = C2/m, No. 12
Magnetic moment = 1.072 μB/atom
Energy of formation from the pure elements = -14.10 eV per formula unit

abc: 7.3118 7.3118 7.3733
angles: 119.62 119.62 60.10
With the nearest neighbours (Å) after each atom.
Fractional coordinates of all 14 atoms:
Mg1 0.1274 0.1274 0.3824  4 S 2.44-2.48
Mg2 0.8726 0.8726 0.6176  4 S 2.44-2.48
Mn1 0.0000 0.5000 0.0000  6 S 2.46-2.50
Mn2 0.5000 0.0000 0.0000  6 S 2.46-2.50
Mn3 0.5000 0.5000 0.0000  6 S 2.46-2.50
Mo1 0.5000 0.5000 0.5000  6 S 2.48
S1 0.2621 0.2621 0.2427  1 Mg 2.44, 1 Mo 2.48, 2 Mn 2.50
S2 0.2620 0.7187 0.2428  1 Mg 2.45, 1 Mo 2.48, 2 Mn 2.50
S3 0.2638 0.2638 0.7913  3 Mn 2.46, 1 Mg 2.48
S4 0.2813 0.7380 0.7572  1 Mg 2.45, 1 Mo 2.48, 2 Mn 2.50
S5 0.7187 0.2620 0.2428  1 Mg 2.45, 1 Mo 2.48, 2 Mn 2.50
S6 0.7362 0.7362 0.2087  3 Mn 2.46, 1 Mg 2.48
S7 0.7380 0.2813 0.7572  1 Mg 2.45, 1 Mo 2.48, 2 Mn 2.50
S8 0.7379 0.7379 0.7573  1 Mg 2.44, 1 Mo 2.48, 2 Mn 2.50

***

[5]
The following is a DFT calculation (PBE-GGA) of a relaxed Cs3Sb2I9 crystal.

## Properties
Calculated total energy = -2.67 eV/atom
Energy with MP2020 corrections = -2.9086 eV per atom
Space group = P-3m1, No. 164
Energy of formation from the pure elements = -16.06 eV per formula unit
E above lowest polymorph = 4.9 meV/atom

abc: 8.6872 8.6872 10.6035
angles: 90.00 90.00 120.00
With the nearest neighbours (Å) after each atom.
Fractional coordinates of all 14 atoms:
Cs1 0.0000 0.0000 0.0000  12 I 4.34-4.39
Cs2 0.3333 0.6667 0.3257  12 I 4.27-4.35
Cs3 0.6667 0.3333 0.6743  12 I 4.27-4.35
Sb1 0.3333 0.6667 0.8154  6 I 2.92-3.18
Sb2 0.6667 0.3333 0.1846  6 I 2.92-3.18
I1 0.0000 0.5000 0.0000  2 Sb 3.18
I2 0.1714 0.3428 0.6644  1 Sb 2.92
I3 0.1714 0.8286 0.6644  1 Sb 2.92
I4 0.3428 0.1714 0.3356  1 Sb 2.92
I5 0.5000 0.0000 0.0000  2 Sb 3.18
I6 0.5000 0.5000 0.0000  2 Sb 3.18
I7 0.6572 0.8286 0.6644  1 Sb 2.92
I8 0.8286 0.1714 0.3356  1 Sb 2.92
I9 0.8286 0.6572 0.3356  1 Sb 2.92

***

[6]
The following is a DFT calculation (PBE-GGA) of a relaxed HoCdPd2 crystal.

## Properties
Calculated total energy = -4.71 eV/atom
Space group = Fm-3m, No. 225
Energy of formation from the pure elements = -2.98 eV per formula unit

abc: 4.7896 4.7896 4.7896
angles: 60.00 60.00 60.00
With the nearest neighbours (Å) after each atom.
Fractional coordinates of all 4 atoms:
Ho1 0.0000 0.0000 0.0000  8 Pd 2.93
Cd1 0.5000 0.5000 0.5000  8 Pd 2.93
Pd1 0.2500 0.2500 0.2500  4 Cd 2.93, 4 Ho 2.93
Pd2 0.7500 0.7500 0.7500  4 Cd 2.93, 4 Ho 2.93